Entry from the Materials Project database: a relaxed structure of KY2Ti2S2O5 (PBE).

abc: 3.734 3.734 15.014
angles: 90.00 90.00 90.00
Positions (direct):
1 K 0.000 0.000 0.000
2 Y 0.000 0.000 0.242
3 Y 0.000 0.000 0.758
4 Ti 0.500 0.500 0.379
5 Ti 0.500 0.500 0.621
6 S 0.500 0.500 0.150
7 S 0.500 0.500 0.850
8 O 0.000 0.500 0.333
9 O 0.000 0.500 0.667
10 O 0.500 0.000 0.333
11 O 0.500 0.000 0.667
12 O 0.500 0.500 0.500

Calculated values
Magnetic moment ... 1.0 μB/f.u.
V ... 209.4 Å³/f.u.
Space group ... No. 123
Formation energy from the elements ... -37.158 eV/f.u.

***

Entry from the Materials Project database: a relaxed structure of KTmS2O10 (PBE).

abc: 10.951 8.182 10.045
angles: 90.00 98.73 90.00
Positions (direct):
1 K 0.134 0.231 0.089
2 K 0.134 0.269 0.589
3 K 0.866 0.731 0.411
4 K 0.866 0.769 0.911
5 Tm 0.318 0.736 0.033
6 Tm 0.318 0.764 0.533
7 Tm 0.682 0.236 0.467
8 Tm 0.682 0.264 0.967
9 S 0.117 0.727 0.207
10 S 0.117 0.773 0.707
11 S 0.468 0.148 0.690
12 S 0.468 0.352 0.190
13 S 0.532 0.648 0.810
14 S 0.532 0.852 0.310
15 S 0.883 0.227 0.293
16 S 0.883 0.273 0.793
17 O 0.018 0.214 0.320
18 O 0.018 0.286 0.820
19 O 0.159 0.725 0.358
20 O 0.159 0.775 0.858
21 O 0.164 0.621 0.648
22 O 0.164 0.879 0.148
23 O 0.181 0.589 0.147
24 O 0.181 0.911 0.647
25 O 0.288 0.027 0.448
26 O 0.288 0.473 0.948
27 O 0.295 0.011 0.968
28 O 0.295 0.489 0.468
29 O 0.359 0.230 0.722
30 O 0.359 0.270 0.222
31 O 0.436 0.518 0.128
32 O 0.436 0.982 0.628
33 O 0.439 0.617 0.688
34 O 0.439 0.883 0.188
35 O 0.470 0.745 0.907
36 O 0.470 0.755 0.407
37 O 0.530 0.245 0.593
38 O 0.530 0.255 0.093
39 O 0.561 0.117 0.812
40 O 0.561 0.383 0.312
41 O 0.564 0.018 0.372
42 O 0.564 0.482 0.872
43 O 0.641 0.730 0.778
44 O 0.641 0.770 0.278
45 O 0.705 0.511 0.532
46 O 0.705 0.989 0.032
47 O 0.712 0.527 0.052
48 O 0.712 0.973 0.552
49 O 0.819 0.089 0.353
50 O 0.819 0.411 0.853
51 O 0.836 0.121 0.852
52 O 0.836 0.379 0.352
53 O 0.841 0.225 0.142
54 O 0.841 0.275 0.642
55 O 0.982 0.714 0.180
56 O 0.982 0.786 0.680

Calculated values
Magnetic moment ... 4.0 μB/f.u.
V ... 222.4 Å³/f.u.
Space group ... No. 14
Formation energy from the elements ... -26.572 eV/f.u.

***

Entry from the Materials Project database: a relaxed structure of K2US2O12 (PBE).

abc: 10.508 10.508 11.168
angles: 90.00 90.00 109.47
Positions (direct):
1 K 0.105 0.895 0.765
2 K 0.190 0.810 0.082
3 K 0.310 0.690 0.582
4 K 0.395 0.605 0.265
5 K 0.605 0.395 0.735
6 K 0.690 0.310 0.418
7 K 0.810 0.190 0.918
8 K 0.895 0.105 0.235
9 U 0.192 0.308 0.750
10 U 0.308 0.192 0.250
11 U 0.692 0.808 0.750
12 U 0.808 0.692 0.250
13 S 0.091 0.343 0.437
14 S 0.157 0.409 0.063
15 S 0.343 0.091 0.563
16 S 0.409 0.157 0.937
17 S 0.591 0.843 0.063
18 S 0.657 0.909 0.437
19 S 0.843 0.591 0.937
20 S 0.909 0.657 0.563
21 O 0.024 0.304 0.071
22 O 0.042 0.659 0.603
23 O 0.060 0.169 0.819
24 O 0.062 0.438 0.750
25 O 0.078 0.290 0.565
26 O 0.131 0.241 0.365
27 O 0.159 0.542 0.103
28 O 0.169 0.060 0.181
29 O 0.196 0.476 0.429
30 O 0.210 0.422 0.935
31 O 0.220 0.780 0.342
32 O 0.241 0.131 0.635
33 O 0.259 0.369 0.135
34 O 0.280 0.720 0.842
35 O 0.290 0.078 0.435
36 O 0.304 0.024 0.929
37 O 0.331 0.440 0.681
38 O 0.341 0.958 0.603
39 O 0.369 0.259 0.865
40 O 0.422 0.210 0.065
41 O 0.438 0.062 0.250
42 O 0.440 0.331 0.319
43 O 0.458 0.841 0.103
44 O 0.476 0.196 0.571
45 O 0.524 0.804 0.429
46 O 0.542 0.159 0.897
47 O 0.560 0.669 0.681
48 O 0.562 0.938 0.750
49 O 0.578 0.790 0.935
50 O 0.631 0.741 0.135
51 O 0.659 0.042 0.397
52 O 0.669 0.560 0.319
53 O 0.696 0.976 0.071
54 O 0.710 0.922 0.565
55 O 0.720 0.280 0.158
56 O 0.741 0.631 0.865
57 O 0.759 0.869 0.365
58 O 0.780 0.220 0.658
59 O 0.790 0.578 0.065
60 O 0.804 0.524 0.571
61 O 0.831 0.940 0.819
62 O 0.841 0.458 0.897
63 O 0.869 0.759 0.635
64 O 0.922 0.710 0.435
65 O 0.938 0.562 0.250
66 O 0.940 0.831 0.181
67 O 0.958 0.341 0.397
68 O 0.976 0.696 0.929

Calculated values
Magnetic moment ... 4.0 μB/f.u.
V ... 290.6 Å³/f.u.
Space group ... No. 64
Formation energy from the elements ... -34.004 eV/f.u.

***

Entry from the Materials Project database: a relaxed structure of K2US2O12 (PBE).

abc: 14.027 11.753 7.303
angles: 90.00 90.00 90.00
Positions (direct):
1 K 0.071 0.031 0.240
2 K 0.071 0.469 0.240
3 K 0.429 0.531 0.740
4 K 0.429 0.969 0.740
5 K 0.571 0.031 0.260
6 K 0.571 0.469 0.260
7 K 0.929 0.531 0.760
8 K 0.929 0.969 0.760
9 U 0.245 0.750 0.410
10 U 0.255 0.250 0.910
11 U 0.745 0.750 0.090
12 U 0.755 0.250 0.590
13 S 0.175 0.531 0.743
14 S 0.175 0.969 0.743
15 S 0.325 0.031 0.243
16 S 0.325 0.469 0.243
17 S 0.675 0.531 0.757
18 S 0.675 0.969 0.757
19 S 0.825 0.031 0.257
20 S 0.825 0.469 0.257
21 O 0.070 0.250 0.400
22 O 0.107 0.009 0.605
23 O 0.107 0.491 0.605
24 O 0.115 0.750 0.394
25 O 0.127 0.250 0.936
26 O 0.127 0.567 0.912
27 O 0.127 0.933 0.912
28 O 0.237 0.624 0.668
29 O 0.237 0.876 0.668
30 O 0.245 0.065 0.789
31 O 0.245 0.435 0.789
32 O 0.247 0.750 0.094
33 O 0.253 0.250 0.594
34 O 0.255 0.565 0.289
35 O 0.255 0.935 0.289
36 O 0.263 0.124 0.168
37 O 0.263 0.376 0.168
38 O 0.373 0.067 0.412
39 O 0.373 0.433 0.412
40 O 0.373 0.750 0.436
41 O 0.385 0.250 0.894
42 O 0.393 0.509 0.105
43 O 0.393 0.991 0.105
44 O 0.430 0.750 0.900
45 O 0.570 0.250 0.100
46 O 0.607 0.009 0.895
47 O 0.607 0.491 0.895
48 O 0.615 0.750 0.106
49 O 0.627 0.250 0.564
50 O 0.627 0.567 0.588
51 O 0.627 0.933 0.588
52 O 0.737 0.624 0.832
53 O 0.737 0.876 0.832
54 O 0.745 0.065 0.711
55 O 0.745 0.435 0.711
56 O 0.747 0.750 0.406
57 O 0.753 0.250 0.906
58 O 0.755 0.565 0.211
59 O 0.755 0.935 0.211
60 O 0.763 0.124 0.332
61 O 0.763 0.376 0.332
62 O 0.873 0.067 0.088
63 O 0.873 0.433 0.088
64 O 0.873 0.750 0.064
65 O 0.885 0.250 0.606
66 O 0.893 0.509 0.395
67 O 0.893 0.991 0.395
68 O 0.930 0.750 0.600

Calculated values
Magnetic moment ... 4.0 μB/f.u.
V ... 301.0 Å³/f.u.
Space group ... No. 62
Formation energy from the elements ... -34.037 eV/f.u.

***

Entry from the Materials Project database: a relaxed structure of K2US2O12 (PBE).

abc: 14.042 7.309 11.730
angles: 90.00 90.00 90.00
Positions (direct):
1 K 0.071 0.243 0.000
2 K 0.073 0.240 0.440
3 K 0.427 0.740 0.940
4 K 0.429 0.743 0.500
5 K 0.571 0.257 0.000
6 K 0.573 0.260 0.440
7 K 0.927 0.760 0.940
8 K 0.929 0.757 0.500
9 U 0.244 0.413 0.721
10 U 0.256 0.913 0.221
11 U 0.744 0.087 0.721
12 U 0.756 0.587 0.221
13 S 0.175 0.742 0.500
14 S 0.175 0.744 0.940
15 S 0.325 0.242 0.000
16 S 0.325 0.244 0.440
17 S 0.675 0.756 0.940
18 S 0.675 0.758 0.500
19 S 0.825 0.256 0.440
20 S 0.825 0.258 0.000
21 O 0.072 0.399 0.221
22 O 0.105 0.608 0.976
23 O 0.110 0.603 0.454
24 O 0.115 0.395 0.721
25 O 0.124 0.905 0.540
26 O 0.127 0.939 0.221
27 O 0.131 0.917 0.905
28 O 0.236 0.666 0.594
29 O 0.237 0.672 0.846
30 O 0.244 0.096 0.724
31 O 0.244 0.781 0.038
32 O 0.246 0.798 0.408
33 O 0.254 0.298 0.908
34 O 0.256 0.281 0.538
35 O 0.256 0.596 0.224
36 O 0.263 0.172 0.346
37 O 0.264 0.166 0.094
38 O 0.369 0.417 0.405
39 O 0.373 0.439 0.721
40 O 0.376 0.405 0.040
41 O 0.385 0.895 0.221
42 O 0.390 0.103 0.954
43 O 0.395 0.108 0.476
44 O 0.428 0.899 0.721
45 O 0.572 0.101 0.221
46 O 0.605 0.892 0.976
47 O 0.610 0.897 0.454
48 O 0.615 0.105 0.721
49 O 0.624 0.595 0.540
50 O 0.627 0.561 0.221
51 O 0.631 0.583 0.905
52 O 0.736 0.834 0.594
53 O 0.737 0.828 0.846
54 O 0.744 0.404 0.724
55 O 0.744 0.719 0.038
56 O 0.746 0.702 0.408
57 O 0.754 0.202 0.908
58 O 0.756 0.219 0.538
59 O 0.756 0.904 0.224
60 O 0.763 0.328 0.346
61 O 0.764 0.334 0.094
62 O 0.869 0.083 0.405
63 O 0.873 0.061 0.721
64 O 0.876 0.095 0.040
65 O 0.885 0.605 0.221
66 O 0.890 0.397 0.954
67 O 0.895 0.392 0.476
68 O 0.928 0.601 0.721

Calculated values
Magnetic moment ... 4.0 μB/f.u.
V ... 301.0 Å³/f.u.
Space group ... No. 33
Formation energy from the elements ... -34.030 eV/f.u.

***

Entry from the Materials Project database: a relaxed structure of K2ZnS2O8 (PBE).

abc: 5.443 8.943 17.069
angles: 90.00 106.78 90.00
Positions (direct):
1 K 0.005 0.144 0.272
2 K 0.005 0.356 0.772
3 K 0.213 0.674 0.977
4 K 0.213 0.826 0.477
5 K 0.787 0.174 0.523
6 K 0.787 0.326 0.023
7 K 0.995 0.644 0.228
8 K 0.995 0.856 0.728
9 Zn 0.384 0.030 0.130
10 Zn 0.384 0.470 0.630
11 Zn 0.616 0.530 0.370
12 Zn 0.616 0.970 0.870
13 S 0.182 0.110 0.928
14 S 0.182 0.390 0.428
15 S 0.412 0.116 0.677
16 S 0.412 0.384 0.177
17 S 0.588 0.616 0.823
18 S 0.588 0.884 0.323
19 S 0.818 0.610 0.572
20 S 0.818 0.890 0.072
21 O 0.094 0.620 0.625
22 O 0.094 0.880 0.125
23 O 0.182 0.118 0.015
24 O 0.182 0.382 0.515
25 O 0.241 0.032 0.608
26 O 0.241 0.468 0.108
27 O 0.292 0.537 0.410
28 O 0.292 0.963 0.910
29 O 0.309 0.226 0.178
30 O 0.309 0.274 0.678
31 O 0.321 0.621 0.828
32 O 0.321 0.879 0.328
33 O 0.329 0.235 0.908
34 O 0.329 0.265 0.408
35 O 0.398 0.046 0.755
36 O 0.398 0.454 0.255
37 O 0.602 0.546 0.745
38 O 0.602 0.954 0.245
39 O 0.671 0.735 0.592
40 O 0.671 0.765 0.092
41 O 0.679 0.121 0.672
42 O 0.679 0.379 0.172
43 O 0.691 0.726 0.322
44 O 0.691 0.774 0.822
45 O 0.708 0.037 0.090
46 O 0.708 0.463 0.590
47 O 0.759 0.532 0.892
48 O 0.759 0.968 0.392
49 O 0.818 0.618 0.485
50 O 0.818 0.882 0.985
51 O 0.906 0.120 0.875
52 O 0.906 0.380 0.375

Calculated values
Magnetic moment ... 0.0 μB/f.u.
V ... 198.9 Å³/f.u.
Space group ... No. 14
Formation energy from the elements ... -27.520 eV/f.u.

***

Entry from the Materials Project database: a relaxed structure of K2ZnS2O14 (PBE).

abc: 5.901 12.228 8.886
angles: 90.00 101.82 90.00
Positions (direct):
1 K 0.164 0.157 0.367
2 K 0.164 0.343 0.867
3 K 0.836 0.657 0.133
4 K 0.836 0.843 0.633
5 Zn 0.500 0.000 0.000
6 Zn 0.500 0.500 0.500
7 S 0.241 0.641 0.900
8 S 0.241 0.859 0.400
9 S 0.759 0.141 0.600
10 S 0.759 0.359 0.100
11 O 0.079 0.733 0.896
12 O 0.079 0.767 0.396
13 O 0.139 0.561 0.773
14 O 0.139 0.939 0.273
15 O 0.146 0.550 0.509
16 O 0.146 0.950 0.009
17 O 0.268 0.578 0.046
18 O 0.268 0.922 0.546
19 O 0.310 0.112 0.878
20 O 0.310 0.388 0.378
21 O 0.391 0.113 0.121
22 O 0.391 0.387 0.621
23 O 0.467 0.682 0.874
24 O 0.467 0.818 0.374
25 O 0.533 0.182 0.626
26 O 0.533 0.318 0.126
27 O 0.609 0.613 0.379
28 O 0.609 0.887 0.879
29 O 0.690 0.612 0.622
30 O 0.690 0.888 0.122
31 O 0.732 0.078 0.454
32 O 0.732 0.422 0.954
33 O 0.854 0.050 0.991
34 O 0.854 0.450 0.491
35 O 0.861 0.061 0.727
36 O 0.861 0.439 0.227
37 O 0.921 0.233 0.604
38 O 0.921 0.267 0.104

Calculated values
Magnetic moment ... 12.0 μB/f.u.
V ... 313.8 Å³/f.u.
Space group ... No. 14
Formation energy from the elements ... -17.192 eV/f.u.

***

Entry from the Materials Project database: a relaxed structure of KSb3O5 (PBE).

abc: 7.163 14.221 8.207
angles: 90.00 120.85 90.00
Positions (direct):
1 K 0.051 0.242 0.450
2 K 0.051 0.258 0.950
3 K 0.949 0.742 0.050
4 K 0.949 0.758 0.550
5 Sb 0.014 0.014 0.708
6 Sb 0.014 0.486 0.208
7 Sb 0.460 0.603 0.139
8 Sb 0.460 0.897 0.639
9 Sb 0.493 0.642 0.575
10 Sb 0.493 0.858 0.075
11 Sb 0.507 0.142 0.925
12 Sb 0.507 0.358 0.425
13 Sb 0.540 0.103 0.361
14 Sb 0.540 0.397 0.861
15 Sb 0.986 0.514 0.792
16 Sb 0.986 0.986 0.292
17 O 0.178 0.631 0.895
18 O 0.178 0.869 0.395
19 O 0.197 0.040 0.592
20 O 0.197 0.460 0.092
21 O 0.253 0.097 0.936
22 O 0.253 0.403 0.436
23 O 0.333 0.656 0.289
24 O 0.333 0.844 0.789
25 O 0.390 0.226 0.359
26 O 0.390 0.274 0.859
27 O 0.610 0.726 0.141
28 O 0.610 0.774 0.641
29 O 0.667 0.156 0.211
30 O 0.667 0.344 0.711
31 O 0.747 0.597 0.564
32 O 0.747 0.903 0.064
33 O 0.803 0.540 0.908
34 O 0.803 0.960 0.408
35 O 0.822 0.131 0.605
36 O 0.822 0.369 0.105

Calculated values
V ... 179.4 Å³/f.u.
Space group ... No. 14
Formation energy from the elements ... -16.573 eV/f.u.